[1]
# r2SCAN Li2PdPb, optimized geometry
data_Li2PdPb
_chemical_formula_sum 'Li8 Pd4 Pb4'
_space_group_name_H-M_alt 'F -4 3 m'
_space_group_IT_number 216
_space_group_name_Hall 'F -4 2 3'
_cell_length_a 6.472
_cell_length_b 6.472
_cell_length_c 6.472
_cell_angle_alpha 90.00
_cell_angle_beta 90.00
_cell_angle_gamma 90.00
loop_
_atom_site_label
_atom_site_fract_x
_atom_site_fract_y
_atom_site_fract_z
Li1 0.000 0.000 0.000
Li2 0.250 0.250 0.250
Pd1 0.000 0.000 0.500
Pb1 0.250 0.250 0.750
# - E_form: -475 meV per atom
# - Final energy: -21.48 eV per atom
# - V: 271.1 Å³ per cell

[2]
# r2SCAN Zr6BCl14, optimized geometry
data_Zr6BCl14
_chemical_formula_sum 'Zr24 B4 Cl56'
_space_group_name_H-M_alt 'C m c e'
_space_group_IT_number 64
_space_group_name_Hall '-C 2ac 2'
_cell_length_a 14.354
_cell_length_b 12.771
_cell_length_c 11.604
_cell_angle_alpha 90.00
_cell_angle_beta 90.00
_cell_angle_gamma 90.00
loop_
_atom_site_label
_atom_site_fract_x
_atom_site_fract_y
_atom_site_fract_z
Zr1 0.000 0.150 0.110
Zr2 0.118 0.070 0.883
B1 0.000 0.000 0.000
Cl1 0.000 0.159 0.740
Cl2 0.122 0.087 0.250
Cl3 0.123 0.242 0.992
Cl4 0.249 0.000 0.500
Cl5 0.250 0.151 0.750
# - E_form: -1972 meV per atom
# - Final energy: -12.92 eV per atom
# - V: 2127.0 Å³ per cell

[3]
# r2SCAN MgNiH2, optimized geometry
data_MgNiH2
_chemical_formula_sum 'Mg1 Ni1 H2'
_space_group_name_H-M_alt 'P 4/m m m'
_space_group_IT_number 123
_space_group_name_Hall '-P 4 2'
_cell_length_a 3.220
_cell_length_b 3.220
_cell_length_c 3.244
_cell_angle_alpha 90.00
_cell_angle_beta 90.00
_cell_angle_gamma 90.00
loop_
_atom_site_label
_atom_site_fract_x
_atom_site_fract_y
_atom_site_fract_z
Mg1 0.000 0.000 0.000
Ni1 0.500 0.500 0.500
H1 0.000 0.500 0.500
# - E_form: -201 meV per atom
# - Final energy: -5.97 eV per atom
# - V: 33.6 Å³ per cell